(1)
A geometry-optimized NaSc2Ga2PS5O24 structure. Source: Materials Project, functional PBE.

Unit cell a=8.6421 b=8.6366 c=22.5870 alpha=89.99 beta=90.08 gamma=119.89
Positions (direct):
O1 0.3531 0.8690 0.8599
O2 0.0223 0.8263 0.4085
S1 0.7143 0.0095 0.7449
S2 0.2944 0.2871 0.7452
Ga1 0.6666 0.3334 0.4840
S3 0.6690 0.0417 0.0838
O3 0.9784 0.8073 0.0898
Sc1 0.3410 0.6727 0.8119
O4 0.2163 0.1765 0.7984
O5 0.1975 0.0228 0.5916
O6 0.1943 0.1686 0.0891
O7 0.1780 0.1983 0.4098
O8 0.8237 0.0411 0.7984
O9 0.6508 0.5041 0.9202
O10 0.9587 0.7811 0.7982
O11 0.3524 0.4889 0.0784
O12 0.7980 0.9812 0.6918
O13 0.4546 0.1585 0.5295
O14 0.1739 0.4780 0.2636
S4 0.9597 0.6280 0.0838
O15 0.1344 0.6419 0.0784
O16 0.4668 0.1553 0.2486
Sc2 0.6612 0.3336 0.9782
O17 0.1817 0.9653 0.2013
Sc3 0.0023 0.0076 0.1514
O18 0.3087 0.8357 0.2630
O19 0.6500 0.1287 0.1373
O20 0.1698 0.9834 0.9103
Na1 0.6726 0.3321 0.3335
O21 0.8093 0.8373 0.9102
O22 0.1203 0.6298 0.3648
S5 0.0420 0.6676 0.4174
Ga2 0.9976 0.0051 0.3528
O23 0.5030 0.1425 0.9204
O24 0.1832 0.2031 0.6917
S6 0.3726 0.3319 0.0845
O25 0.9669 0.1727 0.3103
P1 0.3337 0.9587 0.9157
O26 0.8413 0.2961 0.5293
O27 0.5059 0.8764 0.3644
S7 0.9582 0.3340 0.5824
O28 0.8604 0.5041 0.4251
O29 0.8233 0.7903 0.3078
O30 0.5387 0.6885 0.9717
O31 0.4991 0.3585 0.4258
O32 0.4920 0.1204 0.6353
Ga3 0.6658 0.3333 0.6814
O33 0.5136 0.6408 0.8600
O34 0.8289 0.0211 0.0890
Sc4 0.3384 0.6732 0.0189
S8 0.0427 0.3757 0.9155
O35 0.8793 0.3716 0.6351
O36 0.6407 0.1378 0.4247
O37 0.0319 0.2095 0.1998
S9 0.3354 0.3768 0.4180
O38 0.3581 0.8636 0.5731
O39 0.7864 0.8166 0.2012
S10 0.2886 0.9941 0.2553
O40 0.1252 0.4817 0.8621
O41 0.8251 0.8025 0.5917
O42 0.8724 0.5214 0.1374
O43 0.7039 0.5454 0.5295
O44 0.6807 0.5303 0.2488
O45 0.6286 0.5082 0.6353
O46 0.4793 0.3515 0.1377
O47 0.5057 0.6424 0.5730
O48 0.3129 0.4633 0.7520
O49 0.1360 0.4943 0.5729
O50 0.0208 0.8160 0.6918
O51 0.5372 0.8523 0.7512
O52 0.1471 0.6811 0.7522
Na2 0.9992 0.9921 0.9978
S11 0.9916 0.7030 0.7448
O53 0.6960 0.1512 0.0308
Sc5 0.9994 0.9938 0.8531
O54 0.1472 0.4560 0.9696
O55 0.8491 0.5449 0.0309
P2 0.6256 0.6676 0.9157
O56 0.3055 0.8478 0.9716
O57 0.4556 0.3049 0.0313
O58 0.0239 0.1969 0.9102
Ga4 0.3326 0.6668 0.5188
O59 0.1532 0.6988 0.4712
O60 0.5091 0.8660 0.0792
S12 0.7056 0.7121 0.2552
O61 0.5316 0.7014 0.2632
O62 0.3037 0.4573 0.4714
O63 0.8393 0.3160 0.2486
Na3 0.6589 0.3321 0.8355
Sc6 0.6733 0.3341 0.1886
O64 0.6971 0.1733 0.7380
O65 0.3737 0.4924 0.3652
Ga5 0.3278 0.6601 0.3142
S13 0.6210 0.9550 0.4173
O66 0.4753 0.3039 0.7383
S14 0.3756 0.0417 0.5824
O67 0.9773 0.1748 0.5915
P3 0.0059 0.2950 0.2558
O68 0.8641 0.3566 0.9205
S15 0.6661 0.6246 0.5825
O69 0.7984 0.9721 0.4098
O70 0.5402 0.8451 0.4711
O71 0.8268 0.5235 0.7379
O72 0.2061 0.0265 0.3080
Ga6 0.0006 0.0002 0.6463

---

(2)
A geometry-optimized Na5Sc2Ga2P5SO24 structure. Source: Materials Project, functional PBE.

Unit cell a=8.8178 b=8.8131 c=22.4041 alpha=90.27 beta=89.85 gamma=119.89
Positions (direct):
O1 0.3589 0.8614 0.5761
O2 0.8196 0.7855 0.3074
Na1 0.7017 0.6684 0.4167
Na2 0.0097 0.0095 0.4983
O3 0.1641 0.9660 0.9134
P1 0.0440 0.3764 0.9186
Na3 0.9983 0.3625 0.7500
O4 0.4976 0.8567 0.0764
P2 0.6653 0.0373 0.0857
O5 0.1477 0.6975 0.4724
O6 0.8308 0.3025 0.2429
O7 0.3674 0.4863 0.3625
O8 0.3023 0.8398 0.9740
O9 0.8396 0.5207 0.7456
O10 0.0338 0.2115 0.1925
Na4 0.3642 0.9999 0.7503
Na5 0.6739 0.3362 0.3332
Na6 0.0310 0.6991 0.5826
Sc1 0.0041 0.0049 0.6477
Na7 0.3016 0.9699 0.0828
P3 0.9586 0.3338 0.5825
O11 0.4660 0.1625 0.5268
O12 0.5050 0.6488 0.5759
O13 0.1771 0.2119 0.6953
O14 0.9706 0.1662 0.5874
O15 0.8506 0.5518 0.0268
P4 0.6262 0.9635 0.4145
O16 0.1444 0.6467 0.0777
O17 0.5255 0.6956 0.2580
Na8 0.3394 0.6593 0.6665
O18 0.8350 0.0255 0.0918
O19 0.7869 0.9708 0.6922
O20 0.3118 0.8431 0.2560
O21 0.1670 0.4763 0.2581
O22 0.3496 0.4967 0.0773
O23 0.8809 0.3675 0.6395
P5 0.0031 0.2926 0.2501
P6 0.7065 0.9978 0.7494
O24 0.9865 0.8172 0.0930
O25 0.6281 0.1195 0.1416
Na9 0.3347 0.6573 0.1676
O26 0.3075 0.4739 0.7564
O27 0.6371 0.5117 0.6365
O28 0.4928 0.3587 0.4218
O29 0.0228 0.1937 0.9135
O30 0.3617 0.8758 0.8612
O31 0.1246 0.4883 0.8620
O32 0.4910 0.3646 0.1404
O33 0.0186 0.8337 0.4075
P7 0.9586 0.6302 0.0839
P8 0.3354 0.9580 0.9183
O34 0.8248 0.0323 0.8037
S1 0.6222 0.6664 0.9184
O35 0.1893 0.1677 0.0923
P9 0.3782 0.0475 0.5812
O36 0.4682 0.1562 0.2443
Ga1 0.9871 0.9938 0.3491
O37 0.5177 0.6389 0.8643
P10 0.0400 0.6683 0.4148
O38 0.5418 0.6952 0.9717
Sc2 0.6650 0.3392 0.6842
O39 0.5492 0.8463 0.4706
O40 0.6433 0.1454 0.4226
O41 0.1914 0.0183 0.5868
Sc3 0.3318 0.6675 0.5162
P11 0.2945 0.2945 0.7502
Ga2 0.6740 0.3263 0.4829
Ga3 0.3238 0.6581 0.3164
O42 0.1737 0.1948 0.4075
O43 0.1643 0.6886 0.7553
O44 0.8518 0.5059 0.4221
Sc4 0.0056 0.0106 0.8527
O45 0.4877 0.1203 0.6387
S2 0.3302 0.3692 0.4150
Na10 0.6383 0.0005 0.2503
Ga4 0.6769 0.3521 0.1827
O46 0.6880 0.1638 0.7447
O47 0.1830 0.9706 0.1951
S3 0.2891 0.0008 0.2502
O48 0.6986 0.5387 0.5244
Ga5 0.3319 0.6646 0.0186
Na11 0.6665 0.9682 0.5832
O49 0.7037 0.1565 0.0310
O50 0.8000 0.8220 0.9129
O51 0.8302 0.8042 0.5865
Ga6 0.9874 0.9972 0.1502
O52 0.9659 0.1699 0.3045
Na12 0.9722 0.6666 0.9170
Na13 0.9983 0.0041 0.0005
O53 0.8780 0.5062 0.1376
O54 0.1278 0.6351 0.3608
O55 0.2074 0.0294 0.3035
O56 0.6886 0.5223 0.2425
O57 0.3011 0.4487 0.4691
O58 0.8386 0.2981 0.5282
O59 0.0325 0.8201 0.6947
Na14 0.0326 0.3343 0.0838
P12 0.9972 0.7065 0.7508
O60 0.4534 0.2966 0.0299
Sc5 0.3357 0.6682 0.8153
O61 0.8097 0.9754 0.4083
O62 0.2112 0.1770 0.8049
O63 0.5117 0.8745 0.3586
O64 0.4733 0.3060 0.7448
O65 0.1578 0.4624 0.9748
P13 0.6631 0.6202 0.5805
O66 0.5215 0.8386 0.7551
O67 0.8639 0.3667 0.9236
O68 0.7915 0.8285 0.1961
Na15 0.6607 0.3293 0.8340
O69 0.4963 0.1406 0.9231
O70 0.9717 0.7900 0.8072
O71 0.6453 0.5110 0.9233
Sc6 0.6618 0.3236 0.9834
P14 0.3756 0.3356 0.0855
P15 0.7074 0.7053 0.2503
O72 0.1385 0.5000 0.5761

---

(3)
A geometry-optimized NaGa2Sn2P3S3O24 structure. Source: Materials Project, functional PBE.

Unit cell a=8.6260 b=8.6365 c=22.4736 alpha=89.99 beta=89.78 gamma=119.99
Positions (direct):
O1 0.3132 0.4719 0.7581
O2 0.6932 0.5201 0.2424
O3 0.3724 0.4997 0.3615
O4 0.8566 0.4899 0.4241
O5 0.1728 0.9753 0.9093
Ga1 0.3230 0.6680 0.8115
O6 0.8482 0.5424 0.0285
Ga2 0.3335 0.6646 0.3137
O7 0.8739 0.3628 0.6373
Ga3 0.6762 0.3340 0.6887
O8 0.5116 0.8814 0.3641
O9 0.1616 0.4721 0.2567
O10 0.1294 0.6302 0.3614
O11 0.9595 0.7872 0.8058
O12 0.4899 0.1282 0.6375
O13 0.3624 0.8669 0.5776
S1 0.9516 0.3319 0.5830
O14 0.8041 0.9810 0.4100
P1 0.0414 0.6608 0.4157
O15 0.3017 0.8510 0.9705
O16 0.1952 0.1655 0.0891
O17 0.1351 0.6401 0.0789
P2 0.3353 0.3772 0.4150
O18 0.1783 0.9611 0.1938
Sn1 0.0064 0.9949 0.3530
Ga4 0.6706 0.3257 0.9848
O19 0.3100 0.8270 0.2580
Sn2 0.0000 0.9994 0.1456
Sn3 0.9941 0.0018 0.8531
P3 0.0400 0.3805 0.9154
O20 0.1292 0.4972 0.8601
O21 0.5538 0.8527 0.4723
O22 0.0251 0.1943 0.9093
P4 0.6669 0.0488 0.0842
O23 0.1650 0.1936 0.4092
O24 0.8313 0.0241 0.0898
S2 0.3829 0.0492 0.5833
Sn4 0.9953 0.9947 0.6486
O25 0.1838 0.2197 0.6953
O26 0.8745 0.5089 0.1376
O27 0.1648 0.6875 0.7584
O28 0.1336 0.4934 0.5786
O29 0.6986 0.1554 0.0264
O30 0.8274 0.5216 0.7422
O31 0.0404 0.8228 0.6936
Sn5 0.3345 0.6626 0.0206
Na1 0.3432 0.6728 0.1698
O32 0.6814 0.1655 0.7419
O33 0.5110 0.6339 0.8621
O34 0.4960 0.1404 0.9219
P5 0.6975 0.9965 0.7504
O35 0.0177 0.8255 0.4114
O36 0.7798 0.9620 0.6933
O37 0.2001 0.0293 0.5892
O38 0.4743 0.3111 0.7412
S3 0.6215 0.6597 0.9150
O39 0.9630 0.1822 0.3046
O40 0.6345 0.5090 0.6375
P6 0.7029 0.7020 0.2499
O41 0.5502 0.7002 0.9699
O42 0.1536 0.7036 0.4742
Na2 0.6632 0.3394 0.3309
Ga5 0.6660 0.3427 0.4762
S4 0.3368 0.9608 0.9156
P7 0.3827 0.3318 0.0824
O43 0.7843 0.8231 0.1942
P8 0.9994 0.7043 0.7504
O44 0.8252 0.0455 0.8045
Na3 0.6769 0.3351 0.8341
O45 0.6355 0.1308 0.1400
O46 0.3591 0.5006 0.0790
O47 0.5178 0.6858 0.2576
O48 0.8382 0.3130 0.2431
S5 0.9982 0.2962 0.2503
O49 0.0354 0.2186 0.1965
O50 0.4831 0.1652 0.2438
O51 0.3003 0.4501 0.4743
O52 0.4662 0.3074 0.0252
O53 0.5020 0.3556 0.4232
S6 0.2982 0.2978 0.7495
O54 0.4625 0.1574 0.5292
S7 0.6649 0.6179 0.5835
O55 0.9742 0.1714 0.5895
O56 0.1546 0.4570 0.9722
O57 0.6396 0.5000 0.9225
S8 0.6251 0.9621 0.4162
O58 0.8025 0.8225 0.9107
O59 0.8272 0.7998 0.5883
Sn6 0.3291 0.6632 0.5176
O60 0.2212 0.1791 0.8028
Ga6 0.6466 0.3256 0.1856
O61 0.8192 0.7852 0.3065
O62 0.4961 0.3716 0.1385
O63 0.3691 0.8795 0.8627
O64 0.8424 0.3016 0.5297
O65 0.5192 0.8283 0.7615
O66 0.8527 0.3615 0.9230
O67 0.2209 0.0418 0.3054
O68 0.6964 0.5401 0.5297
O69 0.4943 0.8590 0.0782
S9 0.9503 0.6174 0.0838
O70 0.6407 0.1393 0.4247
O71 0.9715 0.7979 0.0879
O72 0.5050 0.6411 0.5776
P9 0.2974 0.9969 0.2495

---

(4)
A geometry-optimized Na3Ga2Sn2P5SO24 structure. Source: Materials Project, functional PBE.

Unit cell a=8.6939 b=8.6737 c=22.5086 alpha=90.34 beta=89.82 gamma=120.10
Positions (direct):
O1 0.4519 0.2963 0.0273
O2 0.8856 0.5086 0.1375
O3 0.7920 0.8249 0.1942
Ga1 0.0051 0.9986 0.6484
O4 0.1276 0.4894 0.8594
O5 0.9745 0.1633 0.5912
O6 0.0301 0.8369 0.4110
Na1 0.6735 0.3361 0.3332
O7 0.8335 0.3080 0.2444
O8 0.6278 0.5121 0.6384
S1 0.6185 0.6665 0.9166
P1 0.7053 0.9923 0.7489
O9 0.8438 0.5499 0.0272
O10 0.5406 0.8423 0.4743
O11 0.3638 0.4848 0.3626
Sn1 0.6657 0.3285 0.9815
O12 0.9682 0.1780 0.3056
S2 0.2885 0.9969 0.2491
O13 0.3031 0.8413 0.9728
O14 0.1487 0.5027 0.5751
Ga2 0.3285 0.6717 0.5191
O15 0.4934 0.3584 0.4215
P2 0.9680 0.3361 0.5840
O16 0.8267 0.0396 0.8049
O17 0.8353 0.0262 0.0907
Ga3 0.3317 0.6746 0.8139
O18 0.6270 0.1166 0.1394
O19 0.5136 0.6363 0.8625
Sn2 0.6706 0.3377 0.1849
O20 0.3028 0.4552 0.4707
P3 0.3328 0.9507 0.9168
O21 0.6858 0.5217 0.2443
Na2 0.3336 0.6667 0.6665
Ga4 0.9906 0.9960 0.1476
O22 0.4976 0.8512 0.0751
Na3 0.0029 0.3656 0.7507
O23 0.1702 0.4794 0.2573
P4 0.0035 0.7138 0.7489
P5 0.0506 0.6677 0.4159
O24 0.2170 0.1802 0.8060
O25 0.2162 0.0348 0.3044
Na4 0.0336 0.3335 0.0834
O26 0.0343 0.2105 0.1926
O27 0.9616 0.7850 0.8064
Na5 0.6674 0.9672 0.5834
P6 0.3718 0.3336 0.0835
Na6 0.0034 0.9967 0.5019
O28 0.3074 0.8389 0.2560
O29 0.1651 0.9719 0.9121
O30 0.3512 0.4988 0.0755
O31 0.1587 0.6975 0.4726
O32 0.3064 0.4775 0.7577
O33 0.4769 0.3110 0.7444
P7 0.0484 0.3821 0.9167
P8 0.0054 0.2940 0.2492
O34 0.8374 0.5214 0.7443
Sn3 0.0060 0.0035 0.8521
O35 0.1425 0.6406 0.0758
P9 0.6153 0.9501 0.4169
O36 0.3670 0.8732 0.8604
Na7 0.6607 0.3297 0.8337
Sn4 0.6722 0.3342 0.4813
O37 0.4991 0.1422 0.9214
Ga5 0.3322 0.6655 0.3146
O38 0.5436 0.6964 0.9708
O39 0.6408 0.5063 0.9214
O40 0.4927 0.1162 0.6378
O41 0.8070 0.9766 0.4126
O42 0.5214 0.8285 0.7575
Na8 0.3397 0.6694 0.1671
O43 0.1710 0.2107 0.6949
P10 0.3676 0.0389 0.5827
O44 0.4519 0.1569 0.5272
O45 0.1870 0.0233 0.5907
O46 0.8207 0.7812 0.3054
Ga6 0.3292 0.6715 0.0192
O47 0.5202 0.6917 0.2576
O48 0.5002 0.6488 0.5751
O49 0.1580 0.4596 0.9737
O50 0.8587 0.5020 0.4211
O51 0.8414 0.2898 0.5296
O52 0.1645 0.6860 0.7561
Sn5 0.9891 0.9927 0.3523
O53 0.4889 0.3700 0.1391
O54 0.7031 0.5477 0.5270
O55 0.6944 0.1675 0.7441
O56 0.0225 0.1906 0.9119
O57 0.0333 0.8263 0.6942
O58 0.7892 0.9672 0.6924
P11 0.2914 0.2938 0.7491
O59 0.8010 0.8275 0.9117
O60 0.6380 0.1405 0.4215
O61 0.8309 0.8145 0.5903
P12 0.6623 0.0332 0.0838
Na9 0.0033 0.9965 0.0016
P13 0.7035 0.7097 0.2488
S3 0.3333 0.3801 0.4166
O62 0.5052 0.8685 0.3607
O63 0.8866 0.3711 0.6407
O64 0.1732 0.1972 0.4109
O65 0.1292 0.6345 0.3598
O66 0.4687 0.1601 0.2447
O67 0.1801 0.9695 0.1963
P14 0.9625 0.6334 0.0828
O68 0.7106 0.1583 0.0290
P15 0.6654 0.6289 0.5827
O69 0.1857 0.1676 0.0912
O70 0.8594 0.3614 0.9216
O71 0.9796 0.8155 0.0916
Sn6 0.6625 0.3348 0.6846
O72 0.3602 0.8581 0.5761

---

Number 1: theoretical density 2.8 g cm⁻³, calculated formation energy -2.36 eV per atom. Number 2: theoretical density 3.0 g cm⁻³, calculated formation energy -2.72 eV per atom. Number 3: theoretical density 3.3 g cm⁻³, calculated formation energy -2.21 eV per atom. Number 4: theoretical density 3.4 g cm⁻³, calculated formation energy -2.44 eV per atom.